1.
DFT (r2SCAN) results for a geometry-optimized SiO2 structure.

Cell: 7.048 7.048 8.986 Å, 90.00 90.00 94.49°
Element x y z (fractional)
1 Si 0.030 0.299 0.075
2 Si 0.030 0.299 0.425
3 Si 0.299 0.030 0.575
4 Si 0.299 0.030 0.925
5 Si 0.701 0.970 0.075
6 Si 0.701 0.970 0.425
7 Si 0.970 0.701 0.575
8 Si 0.970 0.701 0.925
9 O 0.000 0.500 0.000
10 O 0.000 0.500 0.500
11 O 0.069 0.328 0.250
12 O 0.158 0.842 0.548
13 O 0.158 0.842 0.952
14 O 0.212 0.212 0.000
15 O 0.212 0.212 0.500
16 O 0.328 0.069 0.750
17 O 0.500 0.000 0.000
18 O 0.500 0.000 0.500
19 O 0.672 0.931 0.250
20 O 0.788 0.788 0.000
21 O 0.788 0.788 0.500
22 O 0.842 0.158 0.048
23 O 0.842 0.158 0.452
24 O 0.931 0.672 0.750

Values from the calculation:
Total energy: -238.203 eV per cell
Formation energy: -3.019 eV/atom
Magnetization: 0.00 μB per formula unit


2.
DFT (r2SCAN) results for a geometry-optimized MnCo2Si structure.

Cell: 3.949 3.949 3.949 Å, 60.00 60.00 60.00°
Element x y z (fractional)
1 Mn 0.000 0.000 0.000
2 Co 0.250 0.250 0.250
3 Co 0.750 0.750 0.750
4 Si 0.500 0.500 0.500

Values from the calculation:
Total energy: -52.067 eV per cell
Formation energy: -0.535 eV/atom
Magnetization: 5.00 μB per formula unit


3.
DFT (r2SCAN) results for a geometry-optimized MgZn2 structure.

Cell: 5.157 5.157 8.373 Å, 90.00 90.00 120.00°
Element x y z (fractional)
1 Mg 0.333 0.667 0.062
2 Mg 0.333 0.667 0.438
3 Mg 0.667 0.333 0.562
4 Mg 0.667 0.333 0.938
5 Zn 0.000 0.000 0.000
6 Zn 0.000 0.000 0.500
7 Zn 0.170 0.340 0.750
8 Zn 0.170 0.830 0.750
9 Zn 0.340 0.170 0.250
10 Zn 0.660 0.830 0.750
11 Zn 0.830 0.170 0.250
12 Zn 0.830 0.660 0.250

Values from the calculation:
Total energy: -89.739 eV per cell
Formation energy: -0.148 eV/atom
Magnetization: 0.00 μB per formula unit